(1)
UMnO4 | the Materials Project | r2SCAN | optimized geometry; crystal system = orthorhombic; energy relative to the elements = -1718 kJ/mol of formula units; energy = -22.720 eV per atom
1.0
-3.310 3.475 3.311
3.310 -3.475 3.311
3.310 3.475 -3.311
U Mn O
2 2 8
Direct
0.280 0.030 0.250
0.720 0.970 0.750
0.000 0.500 0.500
0.500 0.500 0.000
0.171 0.193 0.978
0.279 0.328 0.548
0.279 0.731 0.952
0.285 0.807 0.478
0.715 0.193 0.522
0.721 0.269 0.048
0.721 0.672 0.452
0.829 0.807 0.022

(2)
Er2Co17 | the Materials Project | r2SCAN | optimized geometry; crystal system = hexagonal; energy relative to the elements = -163 kJ/mol of formula units; energy = -15.501 eV per atom
1.0
8.221 0.000 0.000
-4.110 7.119 0.000
0.000 0.000 8.034
Er Co
4 34
Direct
0.000 0.000 0.250
0.000 0.000 0.750
0.333 0.667 0.250
0.667 0.333 0.750
0.000 0.500 0.000
0.000 0.500 0.500
0.043 0.373 0.750
0.043 0.670 0.750
0.166 0.331 0.017
0.166 0.331 0.483
0.166 0.834 0.017
0.166 0.834 0.483
0.330 0.373 0.750
0.330 0.957 0.750
0.331 0.166 0.517
0.331 0.166 0.983
0.333 0.667 0.608
0.333 0.667 0.892
0.373 0.043 0.250
0.373 0.330 0.250
0.500 0.000 0.000
0.500 0.000 0.500
0.500 0.500 0.000
0.500 0.500 0.500
0.627 0.670 0.750
0.627 0.957 0.750
0.667 0.333 0.108
0.667 0.333 0.392
0.669 0.834 0.017
0.669 0.834 0.483
0.670 0.043 0.250
0.670 0.627 0.250
0.834 0.166 0.517
0.834 0.166 0.983
0.834 0.669 0.517
0.834 0.669 0.983
0.957 0.330 0.250
0.957 0.627 0.250

(3)
AlTlCl4 | the Materials Project | r2SCAN | optimized geometry; crystal system = orthorhombic; energy relative to the elements = -918 kJ/mol of formula units; energy = -15.673 eV per atom
1.0
10.805 0.000 0.000
0.000 7.031 0.000
0.000 0.000 9.307
Al Tl Cl
4 4 16
Direct
0.065 0.250 0.186
0.435 0.750 0.686
0.565 0.250 0.314
0.935 0.750 0.814
0.188 0.250 0.689
0.312 0.750 0.189
0.688 0.250 0.811
0.812 0.750 0.311
0.074 0.003 0.321
0.074 0.497 0.321
0.107 0.750 0.927
0.222 0.250 0.046
0.278 0.750 0.546
0.393 0.250 0.427
0.426 0.503 0.821
0.426 0.997 0.821
0.574 0.003 0.179
0.574 0.497 0.179
0.607 0.750 0.573
0.722 0.250 0.454
0.778 0.750 0.954
0.893 0.250 0.073
0.926 0.503 0.679
0.926 0.997 0.679

(4)
LaPdPb | the Materials Project | r2SCAN | optimized geometry; crystal system = hexagonal; energy relative to the elements = -249 kJ/mol of formula units; energy = -37.190 eV per atom
1.0
7.856 0.000 0.000
-3.928 6.803 0.000
0.000 0.000 4.219
La Pd Pb
3 3 3
Direct
0.000 0.589 0.000
0.411 0.411 0.000
0.589 0.000 0.000
0.000 0.000 0.000
0.333 0.667 0.500
0.667 0.333 0.500
0.000 0.253 0.500
0.253 0.000 0.500
0.747 0.747 0.500

(5)
Tc | the Materials Project | r2SCAN | optimized geometry; crystal system = cubic; energy relative to the elements = 7 kJ/mol of formula units; energy = -25.891 eV per atom
1.0
0.000 1.928 1.928
1.928 0.000 1.928
1.928 1.928 0.000
Tc
1
Direct
0.000 0.000 0.000

(6)
Rb2U2O7 | the Materials Project | r2SCAN | optimized geometry; crystal system = monoclinic; energy relative to the elements = -3283 kJ/mol of formula units; energy = -23.962 eV per atom
1.0
7.408 0.000 0.000
0.000 8.029 0.000
-2.216 0.000 6.607
Rb U O
4 4 14
Direct
0.007 0.120 0.272
0.007 0.380 0.772
0.993 0.620 0.228
0.993 0.880 0.728
0.494 0.622 0.723
0.494 0.878 0.223
0.506 0.122 0.777
0.506 0.378 0.277
0.228 0.621 0.634
0.228 0.879 0.134
0.240 0.135 0.690
0.240 0.365 0.190
0.487 0.639 0.392
0.487 0.861 0.892
0.500 0.000 0.500
0.500 0.500 0.000
0.513 0.139 0.108
0.513 0.361 0.608
0.760 0.635 0.810
0.760 0.865 0.310
0.772 0.121 0.866
0.772 0.379 0.366

(7)
ZrInNi4 | the Materials Project | r2SCAN | optimized geometry; crystal system = cubic; energy relative to the elements = -219 kJ/mol of formula units; energy = -15.920 eV per atom
1.0
0.000 3.431 3.431
3.431 0.000 3.431
3.431 3.431 0.000
Zr In Ni
1 1 4
Direct
0.000 0.000 0.000
0.750 0.750 0.750
0.375 0.375 0.375
0.375 0.375 0.874
0.375 0.874 0.375
0.874 0.375 0.375

(8)
Sr4Bi3 | the Materials Project | r2SCAN | optimized geometry; crystal system = cubic; energy relative to the elements = -707 kJ/mol of formula units; energy = -34.775 eV per atom
1.0
-5.093 5.093 5.093
5.093 -5.093 5.093
5.093 5.093 -5.093
Sr Bi
8 6
Direct
0.000 0.355 0.500
0.000 0.855 0.500
0.145 0.145 0.145
0.355 0.500 0.000
0.500 0.000 0.355
0.500 0.000 0.855
0.645 0.645 0.645
0.855 0.500 0.000
0.125 0.750 0.875
0.250 0.625 0.375
0.375 0.250 0.625
0.625 0.375 0.250
0.750 0.875 0.125
0.875 0.125 0.750

(9)
LiV2F6 | the Materials Project | r2SCAN | optimized geometry; crystal system = tetragonal; energy relative to the elements = -2790 kJ/mol of formula units; energy = -8.693 eV per atom
1.0
4.656 0.000 0.000
0.000 4.656 0.000
0.000 0.000 9.260
Li V F
2 4 12
Direct
0.000 0.000 0.000
0.500 0.500 0.500
0.000 0.000 0.333
0.000 0.000 0.667
0.500 0.500 0.167
0.500 0.500 0.833
0.196 0.196 0.500
0.198 0.198 0.168
0.198 0.198 0.832
0.302 0.698 0.332
0.302 0.698 0.668
0.304 0.696 0.000
0.696 0.304 0.000
0.698 0.302 0.332
0.698 0.302 0.668
0.802 0.802 0.168
0.802 0.802 0.832
0.804 0.804 0.500

(10)
Nd3B2N4 | the Materials Project | r2SCAN | optimized geometry; crystal system = orthorhombic; energy relative to the elements = -1326 kJ/mol of formula units; energy = -17.023 eV per atom
1.0
-1.770 3.149 5.417
1.770 -3.149 5.417
1.770 3.149 -5.417
Nd B N
3 2 4
Direct
0.000 0.000 0.000
0.299 0.799 0.500
0.701 0.201 0.500
0.357 0.500 0.857
0.643 0.500 0.143
0.125 0.381 0.744
0.363 0.619 0.744
0.637 0.381 0.256
0.875 0.619 0.256

(11)
K3FeO3 | the Materials Project | r2SCAN | optimized geometry; crystal system = monoclinic; energy relative to the elements = -1094 kJ/mol of formula units; energy = -8.818 eV per atom
1.0
3.579 -5.515 0.000
3.579 5.515 0.000
-1.308 0.000 6.336
K Fe O
6 2 6
Direct
0.187 0.813 0.000
0.257 0.743 0.500
0.374 0.374 0.147
0.626 0.626 0.853
0.743 0.257 0.500
0.813 0.187 0.000
0.173 0.173 0.645
0.827 0.827 0.355
0.096 0.096 0.336
0.158 0.433 0.767
0.433 0.158 0.767
0.567 0.842 0.233
0.842 0.567 0.233
0.904 0.904 0.664

(12)
La4GeO8 | the Materials Project | r2SCAN | optimized geometry; crystal system = orthorhombic; energy relative to the elements = -4267 kJ/mol of formula units; energy = -17.297 eV per atom
1.0
18.291 0.000 0.000
0.000 7.669 0.000
0.000 0.000 5.846
La Ge O
16 4 32
Direct
0.011 0.250 0.015
0.104 0.009 0.519
0.104 0.491 0.519
0.217 0.250 0.035
0.283 0.750 0.535
0.396 0.509 0.019
0.396 0.991 0.019
0.489 0.750 0.515
0.511 0.250 0.485
0.604 0.009 0.981
0.604 0.491 0.981
0.717 0.250 0.465
0.783 0.750 0.965
0.896 0.509 0.481
0.896 0.991 0.481
0.989 0.750 0.985
0.192 0.750 0.001
0.308 0.250 0.501
0.692 0.750 0.499
0.808 0.250 0.999
0.005 0.518 0.260
0.005 0.982 0.260
0.116 0.250 0.266
0.118 0.750 0.802
0.125 0.250 0.774
0.162 0.750 0.289
0.243 0.564 0.923
0.243 0.936 0.923
0.257 0.064 0.423
0.257 0.436 0.423
0.338 0.250 0.789
0.375 0.750 0.274
0.382 0.250 0.302
0.384 0.750 0.766
0.495 0.018 0.760
0.495 0.482 0.760
0.505 0.518 0.240
0.505 0.982 0.240
0.616 0.250 0.234
0.618 0.750 0.698
0.625 0.250 0.726
0.662 0.750 0.211
0.743 0.564 0.577
0.743 0.936 0.577
0.757 0.064 0.077
0.757 0.436 0.077
0.838 0.250 0.711
0.875 0.750 0.226
0.882 0.250 0.198
0.884 0.750 0.734
0.995 0.018 0.740
0.995 0.482 0.740

(13)
Eu2BPd6 | the Materials Project | r2SCAN | optimized geometry; crystal system = tetragonal; energy relative to the elements = -535 kJ/mol of formula units; energy = -25.300 eV per atom
1.0
4.305 0.000 0.000
0.000 4.305 0.000
0.000 0.000 8.232
Eu B Pd
2 1 6
Direct
0.000 0.000 0.240
0.000 0.000 0.760
0.500 0.500 0.500
0.000 0.500 0.000
0.000 0.500 0.500
0.500 0.000 0.000
0.500 0.000 0.500
0.500 0.500 0.242
0.500 0.500 0.758

(14)
Sb6O13 | the Materials Project | r2SCAN | optimized geometry; crystal system = orthorhombic; energy relative to the elements = -2676 kJ/mol of formula units; energy = -13.664 eV per atom
1.0
-3.617 3.625 5.204
3.617 -3.625 5.204
3.617 3.625 -5.204
Sb O
6 13
Direct
0.247 0.000 0.247
0.254 0.004 0.750
0.254 0.504 0.250
0.742 0.007 0.264
0.742 0.478 0.736
0.753 0.000 0.753
0.164 0.069 0.487
0.164 0.677 0.095
0.186 0.686 0.500
0.320 0.320 0.000
0.346 0.325 0.403
0.346 0.944 0.021
0.573 0.073 0.500
0.582 0.069 0.905
0.582 0.677 0.513
0.831 0.331 0.500
0.923 0.325 0.979
0.923 0.944 0.597
0.934 0.934 0.000

(15)
MgZrF6 | the Materials Project | r2SCAN | optimized geometry; crystal system = cubic; energy relative to the elements = -3051 kJ/mol of formula units; energy = -9.662 eV per atom
1.0
0.000 3.988 3.988
3.988 0.000 3.988
3.988 3.988 0.000
Mg Zr F
1 1 6
Direct
0.000 0.000 0.000
0.500 0.500 0.500
0.248 0.248 0.752
0.248 0.752 0.248
0.248 0.752 0.752
0.752 0.248 0.248
0.752 0.248 0.752
0.752 0.752 0.248